Entry 1:
NaMg6BO8 PBE relaxed; offset from the most stable computed form = 2.13 eV per formula unit; E_form = -2.5245 eV per atom; total magnetization = 0.00 μB/f.u.
1.0
8.400 0.000 0.000
0.000 4.279 0.000
0.000 0.000 4.279
O Mg B Na
8 6 1 1
Direct
0.500 0.500 0.000
0.265 0.000 0.000
0.181 0.500 0.500
0.735 0.000 0.000
0.000 0.500 0.000
0.500 0.000 0.500
0.000 0.000 0.500
0.819 0.500 0.500
0.770 0.000 0.500
0.770 0.500 0.000
0.230 0.000 0.500
0.230 0.500 0.000
0.500 0.500 0.500
0.500 0.000 0.000
0.000 0.500 0.500
0.000 0.000 0.000

***

Entry 2:
La2Ti3O9 PBE relaxed; offset from the most stable computed form = 0.00 eV per formula unit; E_form = -3.6860 eV per atom; total magnetization = 0.00 μB/f.u.
1.0
2.755 8.264 0.000
-2.755 8.264 0.000
0.000 5.508 7.862
O Ti La
18 6 4
Direct
0.500 0.500 0.000
0.000 0.000 0.500
0.747 0.269 0.236
0.571 0.094 0.762
0.094 0.571 0.762
0.731 0.253 0.764
0.832 0.832 0.999
0.269 0.747 0.236
0.091 0.593 0.225
0.346 0.346 0.499
0.654 0.654 0.501
0.168 0.168 0.001
0.593 0.091 0.225
0.909 0.407 0.775
0.906 0.429 0.238
0.253 0.731 0.764
0.429 0.906 0.238
0.407 0.909 0.775
0.748 0.748 0.265
0.918 0.918 0.745
0.252 0.252 0.735
0.082 0.082 0.255
0.591 0.591 0.739
0.409 0.409 0.261
0.500 0.500 0.500
0.000 0.000 0.000
0.333 0.333 0.001
0.667 0.667 0.999

***

Entry 3:
MgCu2I4O12 PBE relaxed; offset from the most stable computed form = 0.19 eV per formula unit; E_form = -0.9558 eV per atom; total magnetization = 0.00 μB/f.u.
1.0
6.251 0.213 0.167
0.186 5.616 -0.620
0.257 -0.068 9.493
Mg O I Cu
1 12 4 2
Direct
0.041 0.669 0.600
0.742 0.658 0.058
0.808 0.068 0.250
0.940 0.546 0.783
0.912 0.958 0.520
0.262 0.394 0.943
0.381 0.532 0.224
0.343 0.518 0.553
0.831 0.015 0.878
0.442 0.936 0.437
0.324 0.047 0.132
0.251 0.921 0.722
0.884 0.438 0.471
0.965 0.759 0.952
0.001 0.147 0.384
0.456 0.304 0.073
0.491 0.786 0.595
0.068 0.213 0.793
0.562 0.827 0.237

***

Entry 4:
Mg3Ag PBE relaxed; E_form = -0.1188 eV per atom
1.0
0.478 2.418 5.654
-2.948 3.102 -4.442
-4.220 -2.170 1.285
Mg Ag
6 2
Direct
0.830 0.170 0.750
0.659 0.830 0.250
0.341 0.170 0.750
0.170 0.341 0.250
0.830 0.659 0.750
0.170 0.830 0.250
0.667 0.333 0.250
0.333 0.667 0.750

***

Entry 5:
K2SbF5 PBE relaxed; E_form = -2.9214 eV per atom; total magnetization = 0.04 μB/f.u.
1.0
-2.300 -1.989 5.861
-1.472 -14.425 -5.472
16.243 -3.845 5.068
F K Sb
60 24 12
Direct
0.480 0.335 0.951
0.482 0.108 0.464
0.467 0.173 0.619
0.974 0.221 0.206
0.542 0.140 0.048
0.533 0.827 0.381
0.474 0.279 0.794
0.977 0.990 0.719
0.227 0.877 0.227
0.773 0.123 0.773
0.530 0.307 0.388
0.563 0.542 0.892
0.970 0.807 0.388
0.493 0.948 0.131
0.033 0.673 0.619
0.551 0.372 0.558
0.982 0.392 0.536
0.980 0.165 0.049
0.538 0.001 0.709
0.790 0.947 0.435
0.290 0.553 0.565
0.023 0.010 0.281
0.710 0.447 0.435
0.273 0.377 0.227
0.523 0.490 0.719
0.063 0.958 0.108
0.042 0.360 0.952
0.046 0.300 0.780
0.007 0.448 0.131
0.787 0.780 0.101
0.449 0.628 0.442
0.954 0.700 0.220
0.038 0.499 0.291
0.287 0.720 0.899
0.454 0.800 0.780
0.967 0.327 0.381
0.020 0.835 0.951
0.437 0.458 0.108
0.520 0.665 0.049
0.518 0.892 0.536
0.526 0.721 0.206
0.993 0.552 0.869
0.713 0.280 0.101
0.213 0.220 0.899
0.026 0.779 0.794
0.470 0.693 0.612
0.018 0.608 0.464
0.949 0.872 0.558
0.962 0.501 0.709
0.507 0.052 0.869
0.458 0.860 0.952
0.462 0.999 0.291
0.727 0.623 0.773
0.937 0.042 0.892
0.546 0.200 0.220
0.958 0.640 0.048
0.051 0.128 0.442
0.030 0.193 0.612
0.210 0.053 0.565
0.477 0.510 0.281
0.746 0.368 0.248
0.252 0.562 0.982
0.240 0.229 0.315
0.248 0.062 0.982
0.254 0.632 0.752
0.234 0.957 0.422
0.266 0.457 0.422
0.246 0.132 0.752
0.752 0.938 0.018
0.740 0.271 0.685
0.754 0.868 0.248
0.762 0.209 0.916
0.738 0.709 0.916
0.766 0.043 0.578
0.239 0.401 0.649
0.760 0.771 0.685
0.761 0.599 0.351
0.734 0.543 0.578
0.739 0.099 0.351
0.238 0.791 0.084
0.748 0.438 0.018
0.260 0.729 0.315
0.261 0.901 0.649
0.262 0.291 0.084
0.740 0.659 0.136
0.760 0.159 0.136
0.240 0.841 0.864
0.741 0.999 0.802
0.260 0.341 0.864
0.259 0.001 0.198
0.758 0.327 0.472
0.258 0.173 0.528
0.242 0.673 0.528
0.241 0.501 0.198
0.759 0.499 0.802
0.742 0.827 0.472

***

Entry 6:
MgNi5N4 PBE relaxed; E_form = 0.0550 eV per atom; total magnetization = 0.01 μB/f.u.
1.0
7.760 0.000 0.000
0.000 6.010 0.000
0.000 0.000 4.349
N Ni Mg
8 10 2
Direct
0.250 0.490 0.025
0.250 0.010 0.025
0.750 0.990 0.975
0.750 0.510 0.975
0.494 0.250 0.436
0.994 0.750 0.564
0.006 0.250 0.436
0.506 0.750 0.564
0.918 0.531 0.265
0.582 0.531 0.265
0.082 0.031 0.735
0.418 0.031 0.735
0.918 0.969 0.265
0.582 0.969 0.265
0.750 0.750 0.683
0.250 0.250 0.317
0.418 0.469 0.735
0.082 0.469 0.735
0.250 0.750 0.329
0.750 0.250 0.671

***

Entry 7:
CsTi2Cu2Te8 PBE relaxed; E_form = -0.7726 eV per atom; total magnetization = 0.00 μB/f.u.
1.0
2.016 10.043 0.000
-2.016 10.043 0.000
0.000 8.588 10.355
Te Cs Cu Ti
8 1 2 2
Direct
0.631 0.631 0.051
0.082 0.082 0.849
0.677 0.677 0.312
0.919 0.919 0.147
0.306 0.306 0.402
0.370 0.370 0.944
0.689 0.689 0.602
0.324 0.324 0.691
0.989 0.989 0.369
0.759 0.759 0.065
0.242 0.242 0.936
0.298 0.298 0.193
0.703 0.703 0.802

***

Entry 8:
SrCaZr8P12O48 PBE relaxed; E_form = -3.2532 eV per atom; total magnetization = 0.00 μB/f.u.
1.0
-3.286 2.980 7.707
9.011 1.549 -1.887
-7.842 10.892 -7.555
O Zr P Ca Sr
48 8 12 1 1
Direct
0.729 0.718 0.036
0.439 0.238 0.209
0.261 0.410 0.508
0.771 0.282 0.464
0.701 0.281 0.654
0.855 0.912 0.556
0.714 0.238 0.295
0.760 0.410 0.008
0.239 0.590 0.992
0.299 0.718 0.346
0.284 0.756 0.705
0.951 0.282 0.024
0.337 0.410 0.321
0.705 0.238 0.115
0.061 0.762 0.291
0.483 0.590 0.124
0.557 0.756 0.790
0.799 0.719 0.846
0.049 0.718 0.976
0.982 0.590 0.623
0.017 0.410 0.376
0.150 0.911 0.650
0.145 0.089 0.445
0.451 0.282 0.524
0.270 0.282 0.963
0.549 0.718 0.476
0.230 0.718 0.537
0.786 0.762 0.205
0.163 0.590 0.179
0.943 0.244 0.710
0.795 0.762 0.385
0.645 0.088 0.944
0.362 0.911 0.250
0.650 0.911 0.149
0.836 0.410 0.821
0.206 0.244 0.616
0.138 0.089 0.250
0.518 0.410 0.877
0.861 0.911 0.750
0.664 0.590 0.679
0.201 0.282 0.154
0.740 0.590 0.492
0.639 0.089 0.750
0.294 0.756 0.884
0.355 0.911 0.055
0.350 0.089 0.850
0.850 0.089 0.351
0.216 0.244 0.795
0.214 0.429 0.071
0.027 0.053 0.676
0.473 0.947 0.824
0.286 0.571 0.429
0.786 0.571 0.928
0.526 0.052 0.175
0.714 0.429 0.572
0.974 0.948 0.325
0.276 0.255 0.234
0.660 0.745 0.127
0.233 0.744 0.978
0.722 0.744 0.766
0.340 0.256 0.872
0.160 0.744 0.628
0.766 0.255 0.021
0.778 0.256 0.734
0.734 0.745 0.479
0.840 0.255 0.373
0.224 0.745 0.266
0.267 0.256 0.522
0.250 0.500 0.750
0.750 0.500 0.250

***

Entry 9:
SiSn3 PBE relaxed; E_form = 0.3214 eV per atom; total magnetization = 0.00 μB/f.u.
1.0
-4.553 -0.522 -1.705
2.242 -4.289 1.271
-0.066 2.435 4.626
Sn Si
3 1
Direct
0.000 0.000 0.500
0.507 0.753 0.773
0.493 0.247 0.227
0.000 0.500 0.000

***

Entry 10:
CaAl2Si2O10 PBE relaxed; offset from the most stable computed form = 4.19 eV per formula unit; E_form = -2.4294 eV per atom; total magnetization = 2.00 μB/f.u.
1.0
3.982 3.091 0.000
-3.982 3.091 0.000
0.000 0.000 13.268
O Al Ca Si
20 4 2 4
Direct
0.360 0.073 0.879
0.360 0.073 0.621
0.579 0.421 0.028
0.651 0.349 0.250
0.640 0.927 0.379
0.135 0.865 0.441
0.421 0.579 0.972
0.946 0.054 0.750
0.927 0.640 0.621
0.865 0.135 0.941
0.135 0.865 0.059
0.349 0.651 0.750
0.927 0.640 0.879
0.073 0.360 0.121
0.073 0.360 0.379
0.579 0.421 0.472
0.865 0.135 0.559
0.421 0.579 0.528
0.054 0.946 0.250
0.640 0.927 0.121
0.500 0.000 0.000
0.000 0.500 0.500
0.500 0.000 0.500
0.000 0.500 0.000
0.355 0.645 0.250
0.645 0.355 0.750
0.969 0.031 0.365
0.031 0.969 0.635
0.969 0.031 0.135
0.031 0.969 0.865

***

Entry 11:
Zr3Sc4O12 PBE relaxed; offset from the most stable computed form = 0.08 eV per formula unit; E_form = -3.8723 eV per atom; total magnetization = 0.00 μB/f.u.
1.0
-1.205 -5.721 2.157
4.694 1.591 3.807
-9.230 6.217 5.465
Sc O Zr
8 24 6
Direct
0.608 0.317 0.821
0.138 0.604 0.407
0.605 0.321 0.319
0.395 0.679 0.681
0.392 0.683 0.179
0.677 0.859 0.945
0.323 0.141 0.055
0.862 0.396 0.593
0.426 0.823 0.540
0.911 0.062 0.588
0.098 0.941 0.912
0.064 0.676 0.709
0.579 0.427 0.160
0.582 0.181 0.961
0.902 0.059 0.088
0.821 0.581 0.463
0.179 0.419 0.537
0.418 0.819 0.039
0.089 0.938 0.412
0.574 0.177 0.460
0.680 0.903 0.280
0.942 0.319 0.800
0.936 0.324 0.291
0.324 0.098 0.221
0.178 0.418 0.037
0.676 0.902 0.779
0.058 0.681 0.200
0.421 0.573 0.840
0.580 0.419 0.659
0.420 0.581 0.341
0.822 0.582 0.963
0.320 0.097 0.720
0.142 0.613 0.906
0.316 0.143 0.557
0.684 0.857 0.443
0.006 0.003 0.249
0.858 0.387 0.094
0.994 0.997 0.751

***

Question: Which value of E_form does entry 9 give?
Answer: 0.3214 eV per atom

***

Question: Which formula does entry 3 have?
Answer: MgCu2I4O12

***

Question: Number 10 is which compound?
Answer: CaAl2Si2O10

***

Question: What is the formula in the third record?
Answer: MgCu2I4O12